This record from the Materials Project describes a geometry-optimized Li4Co3O7 structure. The functional is PBE with a Hubbard U.

```
Li4Co3O7
1.0
2.540 -1.450 0.000
2.540 1.450 0.000
-2.025 0.000 34.512
Li Co O
8 6 14
Direct
0.000 0.000 0.000
0.072 0.072 0.214
0.214 0.214 0.643
0.354 0.354 0.070
0.500 0.500 0.500
0.646 0.646 0.930
0.786 0.786 0.357
0.928 0.928 0.786
0.143 0.143 0.429
0.286 0.286 0.857
0.429 0.429 0.286
0.571 0.571 0.714
0.714 0.714 0.143
0.857 0.857 0.571
0.036 0.036 0.112
0.103 0.103 0.319
0.177 0.177 0.539
0.246 0.246 0.747
0.324 0.324 0.963
0.392 0.392 0.177
0.463 0.463 0.396
0.537 0.537 0.604
0.608 0.608 0.823
0.676 0.676 0.037
0.754 0.754 0.253
0.823 0.823 0.461
0.897 0.897 0.681
0.964 0.964 0.888
```

Calculated values
The formation energy is -2103 kJ/mol of formula units. Its MP2020-corrected energy is -6.10 eV per atom. Its space-group type is C2/m (12). The polymorph energy (0 for the lowest one) is 154 meV/atom.